(1)
This record from Materials Project describes a relaxed NpSe crystal. The functional is GGA-PBE.

a b c (Å): 4.1069 4.1069 4.1069
angles (deg): 60.00 60.00 60.00
Positions (direct):
Np: 0.0000 0.0000 0.0000
Se: 0.5000 0.5000 0.5000

Results
Mass density: 10.7 Mg/m³
SG: Fm-3m (225)
ΔE_f: -1300 meV/atom

(2)
This record from Materials Project describes a relaxed Np2Si4Tc3 crystal. The functional is GGA-PBE.

a b c (Å): 6.7639 8.0510 5.6623
angles (deg): 90.00 104.17 90.00
Positions (direct):
Np: 0.2454 0.0564 0.0734
Np: 0.2454 0.4436 0.5734
Np: 0.7546 0.5564 0.4266
Np: 0.7546 0.9436 0.9266
Si: 0.0786 0.7487 0.2756
Si: 0.0786 0.7513 0.7756
Si: 0.3726 0.0962 0.6160
Si: 0.3726 0.4038 0.1160
Si: 0.6274 0.5962 0.8840
Si: 0.6274 0.9038 0.3840
Si: 0.9214 0.2487 0.2244
Si: 0.9214 0.2513 0.7244
Tc: 0.0000 0.0000 0.5000
Tc: 0.0000 0.5000 0.0000
Tc: 0.3884 0.7070 0.1160
Tc: 0.3884 0.7930 0.6160
Tc: 0.6116 0.2070 0.3840
Tc: 0.6116 0.2930 0.8840

Results
Mass density: 9.8 Mg/m³
SG: P2_1/c (14)
ΔE_f: -475 meV/atom

(3)
This record from Materials Project describes a relaxed TbNp3 crystal. The functional is GGA-PBE.

a b c (Å): 5.6400 5.6400 5.6400
angles (deg): 132.09 132.09 70.09
Positions (direct):
Tb: 0.0000 0.0000 0.0000
Np: 0.2500 0.7500 0.5000
Np: 0.5000 0.5000 0.0000
Np: 0.7500 0.2500 0.5000

Results
Magnetic moment: 10.84 μB per formula unit
Mass density: 14.9 Mg/m³
SG: I4/mmm (139)
ΔE_f: 700 meV/atom

(4)
This record from Materials Project describes a relaxed Np3Te4 crystal. The functional is GGA-PBE.

a b c (Å): 8.0722 8.0722 8.0722
angles (deg): 109.47 109.47 109.47
Positions (direct):
Np: 0.1250 0.7500 0.8750
Np: 0.2500 0.6250 0.3750
Np: 0.3750 0.2500 0.6250
Np: 0.6250 0.3750 0.2500
Np: 0.7500 0.8750 0.1250
Np: 0.8750 0.1250 0.7500
Te: 0.0000 0.3480 0.5000
Te: 0.0000 0.8480 0.5000
Te: 0.1520 0.1520 0.1520
Te: 0.3480 0.5000 0.0000
Te: 0.5000 0.0000 0.3480
Te: 0.5000 0.0000 0.8480
Te: 0.6520 0.6520 0.6520
Te: 0.8480 0.5000 0.0000

Results
Mass density: 10.0 Mg/m³
SG: I-43d (220)
ΔE_f: -955 meV/atom

(5)
This record from Materials Project describes a relaxed NpTe2 crystal. The functional is GGA-PBE.

a b c (Å): 4.4338 4.4338 8.8511
angles (deg): 90.00 90.00 90.00
Positions (direct):
Np: 0.2500 0.2500 0.2311
Np: 0.7500 0.7500 0.7689
Te: 0.2500 0.2500 0.8633
Te: 0.2500 0.7500 0.5000
Te: 0.7500 0.2500 0.5000
Te: 0.7500 0.7500 0.1367

Results
Mass density: 9.4 Mg/m³
SG: P4/nmm (129)
ΔE_f: -941 meV/atom

(6)
This record from Materials Project describes a relaxed Np3Tl crystal. The functional is GGA-PBE.

a b c (Å): 4.6473 4.6473 4.6473
angles (deg): 90.00 90.00 90.00
Positions (direct):
Np: 0.0000 0.0000 0.5000
Np: 0.0000 0.5000 0.0000
Np: 0.5000 0.0000 0.0000
Tl: 0.5000 0.5000 0.5000

Results
Magnetic moment: 13.44 μB per formula unit
Mass density: 15.1 Mg/m³
SG: Pm-3m (221)
ΔE_f: 539 meV/atom

(7)
This record from Materials Project describes a relaxed ZrNp3 crystal. The functional is GGA-PBE.

a b c (Å): 5.5849 5.5849 5.5849
angles (deg): 134.35 134.35 66.55
Positions (direct):
Zr: 0.0000 0.0000 0.0000
Np: 0.2500 0.7500 0.5000
Np: 0.5000 0.5000 0.0000
Np: 0.7500 0.2500 0.5000

Results
Magnetic moment: 9.63 μB per formula unit
Mass density: 15.2 Mg/m³
SG: I4/mmm (139)
ΔE_f: 542 meV/atom

(8)
This record from Materials Project describes a relaxed O crystal. The functional is GGA-PBE.

a b c (Å): 4.2053 4.2053 4.2053
angles (deg): 46.89 46.89 46.89
Positions (direct):
O: 0.0550 0.0550 0.0550
O: 0.9450 0.9450 0.9450

Results
Mass density: 1.5 Mg/m³
SG: R-3m (166)
ΔE_f: 12 meV/atom

(9)
This record from Materials Project describes a relaxed O crystal. The functional is GGA-PBE.

a b c (Å): 6.0504 6.0504 4.5009
angles (deg): 108.40 108.40 97.98
Positions (direct):
O: 0.0069 0.7112 0.8940
O: 0.1780 0.4013 0.3609
O: 0.2888 0.9931 0.6060
O: 0.4013 0.1780 0.8609
O: 0.5987 0.8220 0.1391
O: 0.7112 0.0069 0.3940
O: 0.8220 0.5987 0.6391
O: 0.9931 0.2888 0.1060

Results
Mass density: 1.5 Mg/m³
SG: C2/c (15)
ΔE_f: 18 meV/atom

(10)
This record from Materials Project describes a relaxed O crystal. The functional is GGA-PBE.

a b c (Å): 5.1847 5.1847 5.1847
angles (deg): 56.87 56.87 56.87
Positions (direct):
O: 0.0115 0.8149 0.6736
O: 0.1736 0.3149 0.5115
O: 0.3149 0.5115 0.1736
O: 0.5115 0.1736 0.3149
O: 0.6736 0.0115 0.8149
O: 0.8149 0.6736 0.0115

Results
Magnetic moment: 0.00 μB per formula unit
Mass density: 1.7 Mg/m³
SG: R3c (161)
ΔE_f: 964 meV/atom

(11)
This record from Materials Project describes a relaxed O crystal. The functional is GGA-PBE.

a b c (Å): 3.3090 3.3090 4.2738
angles (deg): 114.26 114.26 64.54
Positions (direct):
O: 0.0482 0.0482 0.1640
O: 0.9518 0.9518 0.8360

Results
Mass density: 1.4 Mg/m³
SG: C2/m (12)
ΔE_f: 10 meV/atom

(12)
This record from Materials Project describes a relaxed O crystal. The functional is GGA-PBE.

a b c (Å): 5.1603 5.2402 5.8902
angles (deg): 90.24 90.50 90.26
Positions (direct):
O: 0.0000 0.0000 0.0000
O: 0.0093 0.3112 0.9769
O: 0.2647 0.4324 0.4650
O: 0.3242 0.3471 0.9592
O: 0.3848 0.5767 0.9634
O: 0.4933 0.3592 0.4573
O: 0.5097 0.0476 0.4681
O: 0.7730 0.9208 0.9876
O: 0.8256 0.0289 0.4952
O: 0.8994 0.8037 0.4913

Results
Magnetic moment: 0.40 μB per formula unit
Mass density: 1.7 Mg/m³
SG: P1 (1)
ΔE_f: 387 meV/atom

What did the sixth record say?
This record from Materials Project describes a relaxed Np3Tl crystal. The functional is GGA-PBE.

a b c (Å): 4.6473 4.6473 4.6473
angles (deg): 90.00 90.00 90.00
Positions (direct):
Np: 0.0000 0.0000 0.5000
Np: 0.0000 0.5000 0.0000
Np: 0.5000 0.0000 0.0000
Tl: 0.5000 0.5000 0.5000

Results
Magnetic moment: 13.44 μB per formula unit
Mass density: 15.1 Mg/m³
SG: Pm-3m (221)
ΔE_f: 539 meV/atom

Q: Which value of mass density does entry 5 give?
A: 9.4 Mg/m³

Copy entry 1 word for word.
This record from Materials Project describes a relaxed NpSe crystal. The functional is GGA-PBE.

a b c (Å): 4.1069 4.1069 4.1069
angles (deg): 60.00 60.00 60.00
Positions (direct):
Np: 0.0000 0.0000 0.0000
Se: 0.5000 0.5000 0.5000

Results
Mass density: 10.7 Mg/m³
SG: Fm-3m (225)
ΔE_f: -1300 meV/atom

Q: What is the ΔE_f in the eleventh record?
A: 10 meV/atom